# 1
This record from Materials Project describes a geometry-optimized Ag3BO3 structure. The functional is PBE-GGA.

Calculated values
Total DFT energy (no corrections) = -5.148 eV per atom
Energy above the lowest structure with this stoichiometry = 5.04 kJ/mol of atoms
Volume = 99.2 Å³/f.u.
Space-group type = No. 155
Energy of formation from the pure elements = -8.07 eV per formula unit

```
Ag3BO3
1.0
5.070 2.927 1.114
-5.070 2.927 1.114
0.000 -5.855 1.114
Ag B O
3 1 3
direct
0.000 0.509 0.491 Ag
0.491 0.000 0.509 Ag
0.509 0.491 0.000 Ag
0.000 0.000 0.000 B
0.000 0.137 0.863 O
0.137 0.863 0.000 O
0.863 0.000 0.137 O
```

# 2
This record from Materials Project describes a geometry-optimized Eu2TmTaO6 structure. The functional is PBE-GGA.

Calculated values
Total DFT energy (no corrections) = -9.770 eV per atom
Volume = 145.1 Å³/f.u.
Space-group type = No. 225
Energy of formation from the pure elements = -35.28 eV per formula unit

```
Eu2TmTaO6
1.0
0.000 4.171 4.171
4.171 0.000 4.171
4.171 4.171 0.000
Eu Tm Ta O
2 1 1 6
direct
0.250 0.250 0.250 Eu
0.750 0.750 0.750 Eu
0.000 0.000 0.000 Tm
0.500 0.500 0.500 Ta
0.261 0.261 0.739 O
0.261 0.739 0.261 O
0.261 0.739 0.739 O
0.739 0.261 0.261 O
0.739 0.261 0.739 O
0.739 0.739 0.261 O
```

# 3
This record from Materials Project describes a geometry-optimized KLi3Ca7Ti2Si12O38 structure. The functional is PBE-GGA.

Calculated values
Total DFT energy (no corrections) = -7.423 eV per atom
Volume = 824.2 Å³/f.u.
Space-group type = No. 2
Energy of formation from the pure elements = -203.94 eV per formula unit

```
KLi3Ca7Ti2Si12O38
1.0
9.857 0.000 0.000
4.925 8.566 0.000
4.922 0.505 19.523
K Li Ca Ti Si O
2 6 14 4 24 76
direct
0.071 0.250 0.250 K
0.929 0.750 0.750 K
0.071 0.745 0.249 Li
0.417 0.750 0.750 Li
0.437 0.243 0.748 Li
0.563 0.757 0.252 Li
0.583 0.250 0.250 Li
0.929 0.255 0.751 Li
0.000 0.000 0.500 Ca
0.000 0.500 0.000 Ca
0.140 0.285 0.507 Ca
0.147 0.070 0.987 Ca
0.289 0.644 0.000 Ca
0.295 0.570 0.487 Ca
0.432 0.215 0.993 Ca
0.433 0.855 0.500 Ca
0.567 0.145 0.500 Ca
0.568 0.785 0.007 Ca
0.705 0.430 0.513 Ca
0.711 0.356 0.000 Ca
0.853 0.930 0.013 Ca
0.860 0.715 0.493 Ca
0.265 0.082 0.748 Ti
0.405 0.583 0.248 Ti
0.595 0.417 0.752 Ti
0.735 0.918 0.252 Ti
0.004 0.622 0.141 Si
0.108 0.998 0.640 Si
0.120 0.867 0.861 Si
0.142 0.488 0.359 Si
0.230 0.385 0.638 Si
0.246 0.502 0.860 Si
0.247 0.885 0.138 Si
0.266 0.878 0.359 Si
0.349 0.632 0.639 Si
0.370 0.378 0.139 Si
0.388 0.122 0.361 Si
0.489 0.012 0.141 Si
0.511 0.988 0.859 Si
0.612 0.878 0.639 Si
0.630 0.622 0.861 Si
0.651 0.368 0.361 Si
0.734 0.122 0.641 Si
0.753 0.115 0.862 Si
0.754 0.498 0.140 Si
0.770 0.615 0.362 Si
0.858 0.512 0.641 Si
0.880 0.133 0.139 Si
0.892 0.002 0.360 Si
0.996 0.378 0.859 Si
0.028 0.682 0.061 O
0.034 0.754 0.540 O
0.035 0.460 0.655 O
0.061 0.028 0.155 O
0.074 0.243 0.804 O
0.078 0.970 0.351 O
0.102 0.470 0.850 O
0.115 0.098 0.694 O
0.118 0.877 0.941 O
0.126 0.519 0.439 O
0.169 0.035 0.560 O
0.172 0.254 0.040 O
0.175 0.487 0.160 O
0.175 0.689 0.840 O
0.206 0.811 0.659 O
0.212 0.585 0.304 O
0.242 0.918 0.808 O
0.248 0.300 0.345 O
0.256 0.528 0.655 O
0.262 0.740 0.190 O
0.264 0.464 0.940 O
0.271 0.817 0.439 O
0.300 0.840 0.057 O
0.304 0.340 0.557 O
0.308 0.239 0.690 O
0.322 0.013 0.341 O
0.350 0.960 0.155 O
0.378 0.744 0.304 O
0.393 0.200 0.155 O
0.399 0.085 0.804 O
0.399 0.101 0.442 O
0.407 0.401 0.805 O
0.416 0.019 0.939 O
0.436 0.622 0.559 O
0.441 0.400 0.058 O
0.445 0.912 0.691 O
0.452 0.412 0.191 O
0.468 0.582 0.692 O
0.532 0.418 0.308 O
0.548 0.588 0.809 O
0.555 0.088 0.309 O
0.559 0.600 0.942 O
0.564 0.378 0.441 O
0.584 0.981 0.061 O
0.593 0.599 0.195 O
0.601 0.899 0.558 O
0.601 0.915 0.196 O
0.607 0.800 0.845 O
0.622 0.256 0.696 O
0.650 0.040 0.845 O
0.678 0.987 0.659 O
0.692 0.761 0.310 O
0.696 0.660 0.443 O
0.700 0.160 0.943 O
0.729 0.183 0.561 O
0.736 0.536 0.060 O
0.738 0.260 0.810 O
0.744 0.472 0.345 O
0.752 0.700 0.655 O
0.758 0.082 0.192 O
0.788 0.415 0.696 O
0.794 0.189 0.341 O
0.825 0.311 0.160 O
0.825 0.513 0.840 O
0.828 0.746 0.960 O
0.831 0.965 0.440 O
0.874 0.481 0.561 O
0.882 0.123 0.059 O
0.885 0.902 0.306 O
0.898 0.530 0.150 O
0.922 0.030 0.649 O
0.926 0.757 0.196 O
0.939 0.972 0.845 O
0.965 0.540 0.345 O
0.966 0.246 0.460 O
0.972 0.318 0.939 O
```

# 4
This record from Materials Project describes a geometry-optimized K2AlAgCl6 structure. The functional is PBE-GGA.

Calculated values
Total DFT energy (no corrections) = -3.458 eV per atom
Volume = 261.0 Å³/f.u.
Space-group type = No. 225
Energy of formation from the pure elements = -18.38 eV per formula unit

```
K2AlAgCl6
1.0
0.000 5.073 5.073
5.073 0.000 5.073
5.073 5.073 0.000
K Al Ag Cl
2 1 1 6
direct
0.250 0.250 0.250 K
0.750 0.750 0.750 K
0.000 0.000 0.000 Al
0.500 0.500 0.500 Ag
0.231 0.231 0.769 Cl
0.231 0.769 0.231 Cl
0.231 0.769 0.769 Cl
0.769 0.231 0.231 Cl
0.769 0.231 0.769 Cl
0.769 0.769 0.231 Cl
```

# 5
This record from Materials Project describes a geometry-optimized SbO2 structure. The functional is PBE-GGA.

Calculated values
Total DFT energy (no corrections) = -5.646 eV per atom
Volume = 53.5 Å³/f.u.
Space-group type = No. 227
Energy of formation from the pure elements = -4.29 eV per formula unit

```
SbO2
1.0
0.000 4.748 4.748
4.748 0.000 4.748
4.748 4.748 0.000
Sb O
4 8
direct
0.000 0.000 0.000 Sb
0.000 0.000 0.500 Sb
0.000 0.500 0.000 Sb
0.500 0.000 0.000 Sb
0.186 0.771 0.771 O
0.229 0.229 0.229 O
0.229 0.229 0.814 O
0.229 0.814 0.229 O
0.771 0.186 0.771 O
0.771 0.771 0.186 O
0.771 0.771 0.771 O
0.814 0.229 0.229 O
```

# 6
This record from Materials Project describes a geometry-optimized Y2Ge6Pd structure. The functional is PBE-GGA.

Calculated values
Total DFT energy (no corrections) = -5.609 eV per atom
Volume = 183.8 Å³/f.u.
Space-group type = No. 38
Energy of formation from the pure elements = -4.63 eV per formula unit

```
Y2Ge6Pd
1.0
4.109 0.000 0.000
0.000 2.031 11.011
0.000 -2.031 11.011
Y Ge Pd
2 6 1
direct
0.000 0.000 0.000 Y
0.000 0.340 0.340 Y
0.000 0.602 0.602 Ge
0.000 0.716 0.716 Ge
0.500 0.101 0.101 Ge
0.500 0.215 0.215 Ge
0.500 0.461 0.461 Ge
0.500 0.891 0.891 Ge
0.500 0.781 0.781 Pd
```

# 7
This record from Materials Project describes a geometry-optimized LaB2Rh2C structure. The functional is PBE-GGA.

Calculated values
Total DFT energy (no corrections) = -7.631 eV per atom
Volume = 79.0 Å³/f.u.
Space-group type = No. 139
Energy of formation from the pure elements = -3.53 eV per formula unit

```
LaB2Rh2C
1.0
-1.952 1.952 5.180
1.952 -1.952 5.180
1.952 1.952 -5.180
La B Rh C
1 2 2 1
direct
0.000 0.000 0.000 La
0.355 0.355 0.000 B
0.645 0.645 0.000 B
0.250 0.750 0.500 Rh
0.750 0.250 0.500 Rh
0.500 0.500 0.000 C
```

# 8
This record from Materials Project describes a geometry-optimized Cs3TiF7 structure. The functional is PBE-GGA.

Calculated values
Total DFT energy (no corrections) = -5.313 eV per atom
Volume = 237.8 Å³/f.u.
Space-group type = No. 127
Energy of formation from the pure elements = -37.69 eV per formula unit

```
Cs3TiF7
1.0
8.637 0.000 0.000
0.000 8.637 0.000
0.000 0.000 6.375
Cs Ti F
6 2 14
direct
0.000 0.000 0.000 Cs
0.194 0.306 0.500 Cs
0.306 0.806 0.500 Cs
0.500 0.500 0.000 Cs
0.694 0.194 0.500 Cs
0.806 0.694 0.500 Cs
0.000 0.500 0.000 Ti
0.500 0.000 0.000 Ti
0.000 0.000 0.500 F
0.108 0.608 0.213 F
0.108 0.608 0.787 F
0.155 0.345 0.000 F
0.345 0.845 0.000 F
0.392 0.108 0.213 F
0.392 0.108 0.787 F
0.500 0.500 0.500 F
0.608 0.892 0.213 F
0.608 0.892 0.787 F
0.655 0.155 0.000 F
0.845 0.655 0.000 F
0.892 0.392 0.213 F
0.892 0.392 0.787 F
```

# 9
This record from Materials Project describes a geometry-optimized Dy2SO2 structure. The functional is PBE-GGA.

Calculated values
Total DFT energy (no corrections) = -7.853 eV per atom
Volume = 83.6 Å³/f.u.
Space-group type = No. 194
Energy of formation from the pure elements = -17.89 eV per formula unit

```
Dy2SO2
1.0
3.799 0.000 0.000
-1.900 3.290 0.000
0.000 0.000 13.378
Dy S O
4 2 4
direct
0.333 0.667 0.108 Dy
0.333 0.667 0.392 Dy
0.667 0.333 0.608 Dy
0.667 0.333 0.892 Dy
0.000 0.000 0.250 S
0.000 0.000 0.750 S
0.333 0.667 0.565 O
0.333 0.667 0.935 O
0.667 0.333 0.065 O
0.667 0.333 0.435 O
```

# 10
This record from Materials Project describes a geometry-optimized Ba5B4O10F2 structure. The functional is PBE-GGA.

Calculated values
Total DFT energy (no corrections) = -7.178 eV per atom
Volume = 329.2 Å³/f.u.
Space-group type = No. 15
Energy of formation from the pure elements = -68.90 eV per formula unit

```
Ba5B4O10F2
1.0
10.516 -3.600 0.000
10.516 3.600 0.000
-0.801 0.000 8.697
Ba B O F
10 8 20 4
direct
0.055 0.945 0.750 Ba
0.087 0.314 0.305 Ba
0.298 0.531 0.392 Ba
0.314 0.087 0.805 Ba
0.469 0.702 0.108 Ba
0.531 0.298 0.892 Ba
0.686 0.913 0.195 Ba
0.702 0.469 0.608 Ba
0.913 0.686 0.695 Ba
0.945 0.055 0.250 Ba
0.088 0.724 0.006 B
0.181 0.444 0.083 B
0.276 0.912 0.494 B
0.444 0.181 0.583 B
0.556 0.819 0.417 B
0.724 0.088 0.506 B
0.819 0.556 0.917 B
0.912 0.276 0.994 B
0.077 0.549 0.215 O
0.095 0.097 0.042 O
0.097 0.095 0.542 O
0.149 0.552 0.966 O
0.224 0.693 0.081 O
0.249 0.311 0.557 O
0.307 0.776 0.419 O
0.311 0.249 0.057 O
0.448 0.851 0.534 O
0.451 0.923 0.285 O
0.549 0.077 0.715 O
0.552 0.149 0.466 O
0.689 0.751 0.943 O
0.693 0.224 0.581 O
0.751 0.689 0.443 O
0.776 0.307 0.919 O
0.851 0.448 0.034 O
0.903 0.905 0.458 O
0.905 0.903 0.958 O
0.923 0.451 0.785 O
0.245 0.595 0.695 F
0.405 0.755 0.805 F
0.595 0.245 0.195 F
0.755 0.405 0.305 F
```

# 11
This record from Materials Project describes a geometry-optimized Y2Fe17 structure. The functional is PBE-GGA.

Calculated values
Total DFT energy (no corrections) = -8.266 eV per atom
Volume = 258.0 Å³/f.u.
Space-group type = No. 166
Energy of formation from the pure elements = -0.13 eV per formula unit

```
Y2Fe17
1.0
4.254 2.456 4.115
-4.254 2.456 4.115
0.000 -4.912 4.115
Y Fe
2 17
direct
0.159 0.159 0.159 Y
0.841 0.841 0.841 Y
0.000 0.500 0.500 Fe
0.157 0.157 0.654 Fe
0.157 0.654 0.157 Fe
0.207 0.500 0.793 Fe
0.207 0.793 0.500 Fe
0.346 0.843 0.843 Fe
0.404 0.404 0.404 Fe
0.500 0.000 0.500 Fe
0.500 0.207 0.793 Fe
0.500 0.500 0.000 Fe
0.500 0.793 0.207 Fe
0.596 0.596 0.596 Fe
0.654 0.157 0.157 Fe
0.793 0.207 0.500 Fe
0.793 0.500 0.207 Fe
0.843 0.346 0.843 Fe
0.843 0.843 0.346 Fe
```

# 12
This record from Materials Project describes a geometry-optimized UCr3 structure. The functional is PBE-GGA.

Calculated values
Total DFT energy (no corrections) = -9.692 eV per atom
Volume = 56.8 Å³/f.u.
Space-group type = No. 225
Energy of formation from the pure elements = 1.48 eV per formula unit

```
UCr3
1.0
0.000 3.051 3.051
3.051 0.000 3.051
3.051 3.051 0.000
U Cr
1 3
direct
0.000 0.000 0.000 U
0.250 0.250 0.250 Cr
0.500 0.500 0.500 Cr
0.750 0.750 0.750 Cr
```

- Among the records above, which one has the lowest total DFT energy (no corrections)?
  Eu2TmTaO6

What did the twelfth record say?
This record from Materials Project describes a geometry-optimized UCr3 structure. The functional is PBE-GGA.

Calculated values
Total DFT energy (no corrections) = -9.692 eV per atom
Volume = 56.8 Å³/f.u.
Space-group type = No. 225
Energy of formation from the pure elements = 1.48 eV per formula unit

```
UCr3
1.0
0.000 3.051 3.051
3.051 0.000 3.051
3.051 3.051 0.000
U Cr
1 3
direct
0.000 0.000 0.000 U
0.250 0.250 0.250 Cr
0.500 0.500 0.500 Cr
0.750 0.750 0.750 Cr
```

- What is the formula in the twelfth record?
  UCr3